Entry 1:
Computed, not measured: an optimized crystal structure of Li8CaSn7 at the GGA-PBE level of DFT.

Calculated values
calculated formation energy = -0.344 eV/atom
theoretical density = 4.29 Mg/m³
total magnetization = 0.002 Bohr magnetons per cell
space group = Cmcm

```
data_Li8CaSn7
_symmetry_space_group_name_H-M 'P 1'
_symmetry_Int_Tables_number 1
_cell_length_a 13.6432
_cell_length_b 13.6432
_cell_length_c 11.5621
_cell_angle_alpha 90.00
_cell_angle_beta 90.00
_cell_angle_gamma 160.52
loop_
_symmetry_equiv_pos_as_xyz
'x,y,z'
loop_
_atom_site_label
_atom_site_type_symbol
_atom_site_fract_x
_atom_site_fract_y
_atom_site_fract_z
Li1 Li 0.0000 0.0000 0.0000
Li2 Li 0.0000 0.0000 0.5000
Li3 Li 0.0242 0.9758 0.7500
Li4 Li 0.1116 0.8884 0.0190
Li5 Li 0.1116 0.8884 0.4810
Li6 Li 0.2413 0.7587 0.5949
Li7 Li 0.2413 0.7587 0.9051
Li8 Li 0.4546 0.5454 0.6243
Li9 Li 0.4546 0.5454 0.8757
Li10 Li 0.5454 0.4546 0.1243
Li11 Li 0.5454 0.4546 0.3757
Li12 Li 0.7587 0.2413 0.0949
Li13 Li 0.7587 0.2413 0.4051
Li14 Li 0.8884 0.1116 0.5190
Li15 Li 0.8884 0.1116 0.9810
Li16 Li 0.9758 0.0242 0.2500
Ca1 Ca 0.1418 0.8582 0.7500
Ca2 Ca 0.8582 0.1418 0.2500
Sn1 Sn 0.0788 0.9212 0.2500
Sn2 Sn 0.2624 0.7376 0.2500
Sn3 Sn 0.3293 0.6707 0.0473
Sn4 Sn 0.3293 0.6707 0.4527
Sn5 Sn 0.3451 0.6549 0.7500
Sn6 Sn 0.4343 0.5657 0.1218
Sn7 Sn 0.4343 0.5657 0.3782
Sn8 Sn 0.5657 0.4343 0.6218
Sn9 Sn 0.5657 0.4343 0.8782
Sn10 Sn 0.6549 0.3451 0.2500
Sn11 Sn 0.6707 0.3293 0.5473
Sn12 Sn 0.6707 0.3293 0.9527
Sn13 Sn 0.7376 0.2624 0.7500
Sn14 Sn 0.9212 0.0788 0.7500
```



Entry 2:
Computed, not measured: an optimized crystal structure of BaPPd at the GGA-PBE level of DFT.

Calculated values
calculated formation energy = -0.950 eV/atom
theoretical density = 5.85 Mg/m³
space group = P2_1/c

```
data_BaPPd
_symmetry_space_group_name_H-M 'P 1'
_symmetry_Int_Tables_number 1
_cell_length_a 6.2976
_cell_length_b 7.9905
_cell_length_c 7.9244
_cell_angle_alpha 90.00
_cell_angle_beta 128.52
_cell_angle_gamma 90.00
loop_
_symmetry_equiv_pos_as_xyz
'x,y,z'
loop_
_atom_site_label
_atom_site_type_symbol
_atom_site_fract_x
_atom_site_fract_y
_atom_site_fract_z
Ba1 Ba 0.1249 0.0020 0.3132
Ba2 Ba 0.1249 0.4980 0.8132
Ba3 Ba 0.8751 0.5020 0.1868
Ba4 Ba 0.8751 0.9980 0.6868
P1 P 0.4567 0.6721 0.3045
P2 P 0.4567 0.8279 0.8045
P3 P 0.5433 0.1721 0.1955
P4 P 0.5433 0.3279 0.6955
Pd1 Pd 0.4968 0.1229 0.8766
Pd2 Pd 0.4968 0.3771 0.3766
Pd3 Pd 0.5032 0.6229 0.6234
Pd4 Pd 0.5032 0.8771 0.1234
```



Entry 3:
Computed, not measured: an optimized crystal structure of MoS2 at the GGA-PBE level of DFT.

Calculated values
calculated formation energy = -0.924 eV/atom
theoretical density = 4.62 Mg/m³
space group = P-3m1

```
data_MoS2
_symmetry_space_group_name_H-M 'P 1'
_symmetry_Int_Tables_number 1
_cell_length_a 3.1994
_cell_length_b 3.1994
_cell_length_c 6.4935
_cell_angle_alpha 90.00
_cell_angle_beta 90.00
_cell_angle_gamma 120.00
loop_
_symmetry_equiv_pos_as_xyz
'x,y,z'
loop_
_atom_site_label
_atom_site_type_symbol
_atom_site_fract_x
_atom_site_fract_y
_atom_site_fract_z
Mo1 Mo 0.0000 0.0000 0.0000
S1 S 0.3333 0.6667 0.7557
S2 S 0.6667 0.3333 0.2443
```



Entry 4:
Computed, not measured: an optimized crystal structure of Mg14FeB at the GGA-PBE level of DFT.

Calculated values
calculated formation energy = 0.243 eV/atom
theoretical density = 2.08 Mg/m³
total magnetization = 2.903 Bohr magnetons per cell
space group = P-6m2

```
data_Mg14FeB
_symmetry_space_group_name_H-M 'P 1'
_symmetry_Int_Tables_number 1
_cell_length_a 6.1738
_cell_length_b 6.1738
_cell_length_c 9.8366
_cell_angle_alpha 90.00
_cell_angle_beta 90.00
_cell_angle_gamma 120.00
loop_
_symmetry_equiv_pos_as_xyz
'x,y,z'
loop_
_atom_site_label
_atom_site_type_symbol
_atom_site_fract_x
_atom_site_fract_y
_atom_site_fract_z
Mg1 Mg 0.0000 0.0000 0.2467
Mg2 Mg 0.0000 0.0000 0.7533
Mg3 Mg 0.0162 0.5081 0.2523
Mg4 Mg 0.0162 0.5081 0.7477
Mg5 Mg 0.3328 0.1664 0.5000
Mg6 Mg 0.3355 0.1678 0.0000
Mg7 Mg 0.4919 0.5081 0.2523
Mg8 Mg 0.4919 0.5081 0.7477
Mg9 Mg 0.4919 0.9838 0.2523
Mg10 Mg 0.4919 0.9838 0.7477
Mg11 Mg 0.8322 0.1678 0.0000
Mg12 Mg 0.8322 0.6645 0.0000
Mg13 Mg 0.8336 0.1664 0.5000
Mg14 Mg 0.8336 0.6672 0.5000
Fe1 Fe 0.3333 0.6667 0.0000
B1 B 0.3333 0.6667 0.5000
```



Entry 5:
Computed, not measured: an optimized crystal structure of Mg6Si5 at the GGA-PBE level of DFT.

Calculated values
calculated formation energy = 0.151 eV/atom
theoretical density = 2.21 Mg/m³
total magnetization = 0.000 Bohr magnetons per cell
space group = Cm

```
data_Mg6Si5
_symmetry_space_group_name_H-M 'P 1'
_symmetry_Int_Tables_number 1
_cell_length_a 15.5339
_cell_length_b 15.5339
_cell_length_c 7.0259
_cell_angle_alpha 91.31
_cell_angle_beta 91.31
_cell_angle_gamma 14.68
loop_
_symmetry_equiv_pos_as_xyz
'x,y,z'
loop_
_atom_site_label
_atom_site_type_symbol
_atom_site_fract_x
_atom_site_fract_y
_atom_site_fract_z
Mg1 Mg 0.0000 0.0000 0.0000
Mg2 Mg 0.0036 0.0036 0.4653
Mg3 Mg 0.1153 0.1153 0.5645
Mg4 Mg 0.2728 0.2728 0.4332
Mg5 Mg 0.4373 0.4373 0.2422
Mg6 Mg 0.4525 0.4525 0.7274
Mg7 Mg 0.5516 0.5516 0.7354
Mg8 Mg 0.5559 0.5559 0.2324
Mg9 Mg 0.6983 0.6983 0.6211
Mg10 Mg 0.7359 0.7359 0.1176
Mg11 Mg 0.8074 0.8074 0.7427
Mg12 Mg 0.8446 0.8446 0.2519
Si1 Si 0.1736 0.1736 0.9436
Si2 Si 0.1871 0.1871 0.3060
Si3 Si 0.2450 0.2450 0.8071
Si4 Si 0.2982 0.2982 0.0568
Si5 Si 0.3631 0.3631 0.5498
Si6 Si 0.3668 0.3668 0.9039
Si7 Si 0.6286 0.6286 0.9343
Si8 Si 0.6402 0.6402 0.2999
Si9 Si 0.9111 0.9111 0.9609
Si10 Si 0.9127 0.9127 0.5182
```



Entry 6:
Computed, not measured: an optimized crystal structure of Li8Ti7Nb6O30 at the GGA-PBE level of DFT.

Calculated values
calculated formation energy = -2.989 eV/atom
theoretical density = 4.17 Mg/m³
total magnetization = 1.851 Bohr magnetons per cell
space group = P3

```
data_Li8Ti7Nb6O30
_symmetry_space_group_name_H-M 'P 1'
_symmetry_Int_Tables_number 1
_cell_length_a 5.1958
_cell_length_b 5.1958
_cell_length_c 24.3426
_cell_angle_alpha 90.00
_cell_angle_beta 90.00
_cell_angle_gamma 120.00
loop_
_symmetry_equiv_pos_as_xyz
'x,y,z'
loop_
_atom_site_label
_atom_site_type_symbol
_atom_site_fract_x
_atom_site_fract_y
_atom_site_fract_z
Li1 Li 0.0000 0.0000 0.0000
Li2 Li 0.0000 0.0000 0.1558
Li3 Li 0.0000 0.0000 0.4496
Li4 Li 0.0000 0.0000 0.7092
Li5 Li 0.3333 0.6667 0.6061
Li6 Li 0.3333 0.6667 0.8727
Li7 Li 0.6667 0.3333 0.2858
Li8 Li 0.6667 0.3333 0.5508
Ti1 Ti 0.3333 0.6667 0.0893
Ti2 Ti 0.3333 0.6667 0.3689
Ti3 Ti 0.3333 0.6667 0.7687
Ti4 Ti 0.3333 0.6667 0.9726
Ti5 Ti 0.6667 0.3333 0.0614
Ti6 Ti 0.6667 0.3333 0.3888
Ti7 Ti 0.6667 0.3333 0.7904
Nb1 Nb 0.0000 0.0000 0.2821
Nb2 Nb 0.0000 0.0000 0.5785
Nb3 Nb 0.0000 0.0000 0.8796
Nb4 Nb 0.3333 0.6667 0.4829
Nb5 Nb 0.6667 0.3333 0.1834
Nb6 Nb 0.6667 0.3333 0.6740
O1 O 0.0085 0.6342 0.4261
O2 O 0.0103 0.6672 0.8243
O3 O 0.0189 0.6356 0.0296
O4 O 0.0407 0.3338 0.5291
O5 O 0.0844 0.3341 0.9266
O6 O 0.2497 0.9156 0.9266
O7 O 0.2931 0.9593 0.5291
O8 O 0.3295 0.2510 0.2302
O9 O 0.3328 0.3431 0.8243
O10 O 0.3348 0.2933 0.6276
O11 O 0.3435 0.0126 0.3326
O12 O 0.3644 0.3834 0.0296
O13 O 0.3658 0.3742 0.4261
O14 O 0.3780 0.0090 0.7310
O15 O 0.3806 0.0178 0.1238
O16 O 0.6166 0.9811 0.0296
O17 O 0.6258 0.9915 0.4261
O18 O 0.6310 0.6220 0.7310
O19 O 0.6373 0.6194 0.1238
O20 O 0.6569 0.9897 0.8243
O21 O 0.6662 0.7069 0.5291
O22 O 0.6659 0.7503 0.9266
O23 O 0.6691 0.6565 0.3326
O24 O 0.7067 0.0415 0.6276
O25 O 0.7490 0.0785 0.2302
O26 O 0.9215 0.6705 0.2302
O27 O 0.9585 0.6652 0.6276
O28 O 0.9822 0.3627 0.1238
O29 O 0.9874 0.3309 0.3326
O30 O 0.9910 0.3690 0.7310
```



Entry 7:
Computed, not measured: an optimized crystal structure of NaCaPrSeO6 at the GGA-PBE level of DFT.

Calculated values
calculated formation energy = -2.332 eV/atom
theoretical density = 4.94 Mg/m³
total magnetization = 0.000 Bohr magnetons per cell
space group = F-43m

```
data_NaCaPrSeO6
_symmetry_space_group_name_H-M 'P 1'
_symmetry_Int_Tables_number 1
_cell_length_a 5.6482
_cell_length_b 5.6482
_cell_length_c 5.6482
_cell_angle_alpha 60.00
_cell_angle_beta 60.00
_cell_angle_gamma 60.00
loop_
_symmetry_equiv_pos_as_xyz
'x,y,z'
loop_
_atom_site_label
_atom_site_type_symbol
_atom_site_fract_x
_atom_site_fract_y
_atom_site_fract_z
Na1 Na 0.0000 0.0000 0.0000
Ca1 Ca 0.7500 0.7500 0.7500
Pr1 Pr 0.5000 0.5000 0.5000
Se1 Se 0.2500 0.2500 0.2500
O1 O 0.0242 0.0242 0.4758
O2 O 0.0242 0.4758 0.0242
O3 O 0.0242 0.4758 0.4758
O4 O 0.4758 0.0242 0.0242
O5 O 0.4758 0.0242 0.4758
O6 O 0.4758 0.4758 0.0242
```



Entry 8:
Computed, not measured: an optimized crystal structure of Dy2Nb2S7O30 at the GGA-PBE level of DFT.

Calculated values
calculated formation energy = -2.266 eV/atom
theoretical density = 3.44 Mg/m³
total magnetization = 4.036 Bohr magnetons per cell
space group = P-42_1m

```
data_Dy2Nb2S7O30
_symmetry_space_group_name_H-M 'P 1'
_symmetry_Int_Tables_number 1
_cell_length_a 12.8301
_cell_length_b 12.8301
_cell_length_c 7.1350
_cell_angle_alpha 90.00
_cell_angle_beta 90.00
_cell_angle_gamma 90.00
loop_
_symmetry_equiv_pos_as_xyz
'x,y,z'
loop_
_atom_site_label
_atom_site_type_symbol
_atom_site_fract_x
_atom_site_fract_y
_atom_site_fract_z
Dy1 Dy 0.1986 0.3014 0.4076
Dy2 Dy 0.3014 0.8014 0.5924
Dy3 Dy 0.6986 0.1986 0.5924
Dy4 Dy 0.8014 0.6986 0.4076
Nb1 Nb 0.1390 0.6390 0.9804
Nb2 Nb 0.3610 0.1390 0.0196
Nb3 Nb 0.6390 0.8610 0.0196
Nb4 Nb 0.8610 0.3610 0.9804
S1 S 0.0000 0.5000 0.3466
S2 S 0.0644 0.8232 0.3007
S3 S 0.1239 0.3761 0.8937
S4 S 0.1768 0.0644 0.6993
S5 S 0.3232 0.5644 0.3007
S6 S 0.3761 0.8761 0.1063
S7 S 0.4356 0.3232 0.6993
S8 S 0.5000 0.0000 0.6534
S9 S 0.5644 0.6768 0.6993
S10 S 0.6239 0.1239 0.1063
S11 S 0.6768 0.4356 0.3007
S12 S 0.8232 0.9356 0.6993
S13 S 0.8761 0.6239 0.8937
S14 S 0.9356 0.1768 0.3007
O1 O 0.0086 0.3575 0.8691
O2 O 0.0438 0.2102 0.3278
O3 O 0.0643 0.0750 0.7273
O4 O 0.0665 0.5665 0.2244
O5 O 0.0677 0.4323 0.4607
O6 O 0.0750 0.9357 0.2727
O7 O 0.1053 0.7704 0.1208
O8 O 0.1318 0.7884 0.4556
O9 O 0.1425 0.4914 0.8691
O10 O 0.1566 0.3434 0.0793
O11 O 0.1768 0.3232 0.7398
O12 O 0.2025 0.7025 0.7904
O13 O 0.2102 0.9562 0.6722
O14 O 0.2116 0.1318 0.5444
O15 O 0.2296 0.1053 0.8792
O16 O 0.2704 0.6053 0.1208
O17 O 0.2884 0.6318 0.4556
O18 O 0.2898 0.4562 0.3278
O19 O 0.2975 0.2025 0.2096
O20 O 0.3232 0.8232 0.2602
O21 O 0.3434 0.8434 0.9207
O22 O 0.3575 0.9914 0.1309
O23 O 0.3682 0.2884 0.5444
O24 O 0.3947 0.2704 0.8792
O25 O 0.4250 0.4357 0.7273
O26 O 0.4323 0.9323 0.5393
O27 O 0.4335 0.0665 0.7756
O28 O 0.4357 0.5750 0.2727
O29 O 0.4562 0.7102 0.6722
O30 O 0.4914 0.8575 0.1309
O31 O 0.5086 0.1425 0.1309
O32 O 0.5438 0.2898 0.6722
O33 O 0.5643 0.4250 0.2727
O34 O 0.5665 0.9335 0.7756
O35 O 0.5677 0.0677 0.5393
O36 O 0.5750 0.5643 0.7273
O37 O 0.6053 0.7296 0.8792
O38 O 0.6318 0.7116 0.5444
O39 O 0.6425 0.0086 0.1309
O40 O 0.6566 0.1566 0.9207
O41 O 0.6768 0.1768 0.2602
O42 O 0.7025 0.7975 0.2096
O43 O 0.7102 0.5438 0.3278
O44 O 0.7116 0.3682 0.4556
O45 O 0.7296 0.3947 0.1208
O46 O 0.7704 0.8947 0.8792
O47 O 0.7884 0.8682 0.5444
O48 O 0.7898 0.0438 0.6722
O49 O 0.7975 0.2975 0.7904
O50 O 0.8232 0.6768 0.7398
O51 O 0.8434 0.6566 0.0793
O52 O 0.8575 0.5086 0.8691
O53 O 0.8682 0.2116 0.4556
O54 O 0.8947 0.2296 0.1208
O55 O 0.9250 0.0643 0.2727
O56 O 0.9323 0.5677 0.4607
O57 O 0.9335 0.4335 0.2244
O58 O 0.9357 0.9250 0.7273
O59 O 0.9562 0.7898 0.3278
O60 O 0.9914 0.6425 0.8691
```



| no. | final energy (eV/cell) |
| --- | --- |
| 1 | -101.7 |
| 2 | -61.5 |
| 3 | -20.9 |
| 4 | -33.7 |
| 5 | -70.8 |
| 6 | -411.4 |
| 7 | -60.5 |
| 8 | -558.2 |